Record 1
DFT (PBE-GGA) results for an optimized crystal structure of CrN2.

Summary:
size of the total moment	0.00	μB per formula unit

abc: 7.933 7.933 9.459
angles: 126.40 126.40 39.80
Atoms (fractional coordinates):
1 Cr 0.023 0.977 0.750
2 Cr 0.085 0.578 0.841
3 Cr 0.422 0.915 0.659
4 Cr 0.578 0.085 0.341
5 Cr 0.915 0.422 0.159
6 Cr 0.977 0.023 0.250
7 N 0.063 0.739 0.063
8 N 0.131 0.722 0.796
9 N 0.221 0.345 0.301
10 N 0.261 0.937 0.437
11 N 0.278 0.869 0.704
12 N 0.345 0.221 0.801
13 N 0.655 0.779 0.199
14 N 0.722 0.131 0.296
15 N 0.739 0.063 0.563
16 N 0.779 0.655 0.699
17 N 0.869 0.278 0.204
18 N 0.937 0.261 0.937



Record 2
DFT (PBE-GGA) results for an optimized crystal structure of NaTl3.

Summary:
size of the total moment	0.00	μB per formula unit

abc: 7.323 7.323 5.236
angles: 90.00 90.00 120.00
Atoms (fractional coordinates):
1 Na 0.333 0.667 0.250
2 Na 0.667 0.333 0.750
3 Tl 0.164 0.328 0.750
4 Tl 0.164 0.836 0.750
5 Tl 0.328 0.164 0.250
6 Tl 0.672 0.836 0.750
7 Tl 0.836 0.164 0.250
8 Tl 0.836 0.672 0.250



Record 3
DFT (PBE-GGA) results for an optimized crystal structure of Cu3TePbO8.

Summary:
size of the total moment	0.67	μB per formula unit

abc: 13.164 12.560 5.690
angles: 83.24 71.34 25.42
Atoms (fractional coordinates):
1 Cu 0.000 0.000 0.000
2 Cu 0.192 0.192 0.808
3 Cu 0.250 0.250 0.250
4 Cu 0.442 0.442 0.058
5 Cu 0.749 0.749 0.251
6 Cu 0.999 0.999 0.501
7 Te 0.442 0.442 0.558
8 Te 0.692 0.692 0.808
9 Pb 0.591 0.591 0.409
10 Pb 0.841 0.841 0.659
11 O 0.000 0.097 0.231
12 O 0.000 0.491 0.753
13 O 0.019 0.578 0.250
14 O 0.034 0.860 0.758
15 O 0.097 0.000 0.672
16 O 0.372 0.407 0.370
17 O 0.398 0.880 0.843
18 O 0.407 0.372 0.852
19 O 0.491 0.000 0.756
20 O 0.492 0.901 0.216
21 O 0.494 0.497 0.759
22 O 0.497 0.494 0.250
23 O 0.578 0.019 0.153
24 O 0.860 0.034 0.349
25 O 0.880 0.398 0.878
26 O 0.901 0.492 0.390



Record 4
DFT (PBE-GGA) results for an optimized crystal structure of RbCeMg6O8.

Summary:
size of the total moment	0.86	μB per formula unit
energy above the most stable polymorph in this dataset	0.0	meV/atom

abc: 4.703 4.703 9.127
angles: 90.00 90.00 90.00
Atoms (fractional coordinates):
1 Rb 0.000 0.000 0.000
2 Ce 0.500 0.500 0.000
3 Mg 0.000 0.000 0.500
4 Mg 0.000 0.500 0.277
5 Mg 0.000 0.500 0.723
6 Mg 0.500 0.000 0.277
7 Mg 0.500 0.000 0.723
8 Mg 0.500 0.500 0.500
9 O 0.000 0.000 0.286
10 O 0.000 0.000 0.714
11 O 0.000 0.500 0.000
12 O 0.000 0.500 0.500
13 O 0.500 0.000 0.000
14 O 0.500 0.000 0.500
15 O 0.500 0.500 0.269
16 O 0.500 0.500 0.731



Record 5
DFT (PBE-GGA) results for an optimized crystal structure of Cs2PO3F.

Summary:
size of the total moment	0.00	μB per formula unit

abc: 8.505 6.472 11.207
angles: 90.00 90.00 90.00
Atoms (fractional coordinates):
1 Cs 0.001 0.250 0.214
2 Cs 0.175 0.250 0.582
3 Cs 0.325 0.750 0.082
4 Cs 0.499 0.750 0.714
5 Cs 0.501 0.250 0.286
6 Cs 0.675 0.250 0.918
7 Cs 0.825 0.750 0.418
8 Cs 0.999 0.750 0.786
9 P 0.248 0.250 0.917
10 P 0.252 0.750 0.417
11 P 0.748 0.250 0.583
12 P 0.752 0.750 0.083
13 O 0.201 0.750 0.547
14 O 0.219 0.551 0.349
15 O 0.219 0.949 0.349
16 O 0.281 0.051 0.849
17 O 0.281 0.449 0.849
18 O 0.299 0.250 0.047
19 O 0.701 0.750 0.953
20 O 0.719 0.551 0.151
21 O 0.719 0.949 0.151
22 O 0.781 0.051 0.651
23 O 0.781 0.449 0.651
24 O 0.799 0.250 0.453
25 F 0.050 0.250 0.926
26 F 0.450 0.750 0.426
27 F 0.550 0.250 0.574
28 F 0.950 0.750 0.074



Record 6
DFT (PBE-GGA) results for an optimized crystal structure of RbCeS2.

abc: 8.067 8.067 8.067
angles: 30.56 30.56 30.56
Atoms (fractional coordinates):
1 Rb 0.000 0.000 0.000
2 Ce 0.500 0.500 0.500
3 S 0.232 0.232 0.232
4 S 0.768 0.768 0.768



Calculated E_form (eV per formula unit), listed in the same order as above: -0.2 -0.3 -14.3 -41.5 -19.3 -8.1
Calculated volume (Å³/f.u.), listed in the same order as above: 49.26 121.57 173.52 201.87 154.23 120.30